Record 1
A geometry-optimized Ca2Nb2CuO8 structure. Source: the Materials Project database, functional GGA-PBE.

The calculation puts the magnetization at 1.00 μB per formula unit. For the MP2020-corrected energy, the calculation gives -104.588 eV per formula unit. The calculation puts the uncorrected energy at -198.18 eV per cell. As for the formation enthalpy at 0 K: -2.8224 eV per atom.

a b c (Å): 10.1325 10.1325 5.4692
angles (deg): 93.02 93.02 38.82
Element x y z (fractional)
Ca: 0.0344 0.3794 0.2440
Ca: 0.3794 0.0344 0.7440
Ca: 0.6206 0.9656 0.2560
Ca: 0.9656 0.6206 0.7560
Nb: 0.2388 0.5259 0.2651
Nb: 0.4741 0.7612 0.2349
Nb: 0.5259 0.2388 0.7651
Nb: 0.7612 0.4741 0.7349
Cu: 0.2357 0.7643 0.7500
Cu: 0.7643 0.2357 0.2500
O: 0.0331 0.3383 0.8291
O: 0.1401 0.7407 0.4690
O: 0.2518 0.3720 0.5115
O: 0.2593 0.8599 0.0310
O: 0.3017 0.5463 0.9339
O: 0.3383 0.0331 0.3291
O: 0.3720 0.2518 0.0115
O: 0.4537 0.6983 0.5661
O: 0.5463 0.3017 0.4339
O: 0.6280 0.7482 0.9885
O: 0.6617 0.9669 0.6709
O: 0.6983 0.4537 0.0661
O: 0.7407 0.1401 0.9690
O: 0.7482 0.6280 0.4885
O: 0.8599 0.2593 0.5310
O: 0.9669 0.6617 0.1709

Record 2
A geometry-optimized CaNd2Cu4O8 structure. Source: the Materials Project database, functional GGA-PBE.

The calculation puts the magnetization at 4.00 μB per formula unit. For the MP2020-corrected energy, the calculation gives -99.613 eV per formula unit. The calculation puts the uncorrected energy at -188.23 eV per cell. As for the formation enthalpy at 0 K: -2.1394 eV per atom.

a b c (Å): 6.2899 6.2899 11.4211
angles (deg): 90.00 90.00 117.84
Element x y z (fractional)
Ca: 0.2500 0.7500 0.7500
Ca: 0.7500 0.2500 0.2500
Nd: 0.2500 0.7500 0.0853
Nd: 0.2500 0.7500 0.4147
Nd: 0.7500 0.2500 0.5853
Nd: 0.7500 0.2500 0.9147
Cu: 0.2500 0.2500 0.0680
Cu: 0.2500 0.2500 0.3181
Cu: 0.2500 0.2500 0.5680
Cu: 0.2500 0.2500 0.8181
Cu: 0.7500 0.7500 0.1819
Cu: 0.7500 0.7500 0.4320
Cu: 0.7500 0.7500 0.6819
Cu: 0.7500 0.7500 0.9320
O: 0.0714 0.3211 0.4424
O: 0.1020 0.3493 0.6941
O: 0.1507 0.3980 0.1941
O: 0.1789 0.4286 0.9424
O: 0.3211 0.0714 0.9424
O: 0.3493 0.1020 0.1941
O: 0.3980 0.1507 0.6941
O: 0.4286 0.1789 0.4424
O: 0.5714 0.8211 0.5576
O: 0.6020 0.8493 0.3059
O: 0.6507 0.8980 0.8059
O: 0.6789 0.9286 0.0576
O: 0.8211 0.5714 0.0576
O: 0.8493 0.6020 0.8059
O: 0.8980 0.6507 0.3059
O: 0.9286 0.6789 0.5576

Record 3
A geometry-optimized CaCu3NiSe4 structure. Source: the Materials Project database, functional GGA-PBE.

The calculation puts the magnetization at 2.74 μB per formula unit. For the MP2020-corrected energy, the calculation gives -39.538 eV per formula unit. The calculation puts the uncorrected energy at -37.65 eV per cell. As for the formation enthalpy at 0 K: -0.6079 eV per atom.

a b c (Å): 5.8744 5.8744 5.8744
angles (deg): 90.00 90.00 90.00
Element x y z (fractional)
Ca: 0.0000 0.0000 0.0000
Cu: 0.0000 0.5000 0.5000
Cu: 0.5000 0.0000 0.5000
Cu: 0.5000 0.5000 0.0000
Ni: 0.5000 0.5000 0.5000
Se: 0.2712 0.2712 0.7288
Se: 0.2712 0.7288 0.2712
Se: 0.7288 0.2712 0.2712
Se: 0.7288 0.7288 0.7288

Sequential V output: 13.5 13.3 22.5 Å³ per atom